DFT (PBE) results for crystalline Ge3Te3Ir2 at its relaxed geometry.

a b c (Å): 7.878 7.878 9.096
angles (deg): 55.01 55.01 69.84
Fractional coordinates of all 16 atoms:
Ge 0.494 0.209 0.648
Ge 0.506 0.791 0.352
Ge 0.791 0.506 0.352
Ge 0.209 0.494 0.648
Ge 0.838 0.838 0.490
Ge 0.162 0.162 0.510
Te 0.858 0.858 0.787
Te 0.142 0.142 0.213
Te 0.675 0.328 0.838
Te 0.325 0.672 0.162
Te 0.328 0.675 0.838
Te 0.672 0.325 0.162
Ir 0.500 0.000 0.500
Ir 0.500 0.000 0.000
Ir 0.000 0.500 0.500
Ir 0.000 0.500 0.000

The calculated formation energy comes out at -150 meV/atom. As for the crystal system: monoclinic. The total energy comes out at -5.272 eV/atom.